Entry 1:
Pr3SnN after structural relaxation. Source: the Materials Project database, functional meta-GGA r2SCAN.

DFT formation energy   -1.08 eV per atom

a b c (Å): 5.050 5.050 5.050
angles (deg): 90.00 90.00 90.00
Fractional coordinates of all 5 atoms:
Pr 0.000 0.000 0.500
Pr 0.000 0.500 0.000
Pr 0.500 0.000 0.000
Sn 0.500 0.500 0.500
N 0.000 0.000 0.000

Entry 2:
BiBr3 after structural relaxation. Source: the Materials Project database, functional meta-GGA r2SCAN.

DFT formation energy   -0.85 eV per atom

a b c (Å): 7.053 12.548 7.259
angles (deg): 90.00 109.50 90.00
Fractional coordinates of all 16 atoms:
Bi 0.005 0.166 0.014
Bi 0.005 0.334 0.514
Bi 0.995 0.666 0.486
Bi 0.995 0.834 0.986
Br 0.237 0.671 0.236
Br 0.237 0.829 0.736
Br 0.253 0.505 0.728
Br 0.253 0.995 0.228
Br 0.257 0.179 0.773
Br 0.257 0.321 0.273
Br 0.743 0.679 0.727
Br 0.743 0.821 0.227
Br 0.747 0.005 0.772
Br 0.747 0.495 0.272
Br 0.763 0.171 0.264
Br 0.763 0.329 0.764

Entry 3:
TbUTe6 after structural relaxation. Source: the Materials Project database, functional meta-GGA r2SCAN.

DFT formation energy   -0.96 eV per atom

a b c (Å): 4.372 4.373 26.101
angles (deg): 90.00 90.00 90.00
Fractional coordinates of all 16 atoms:
Tb 0.000 0.000 0.000
Tb 0.000 0.500 0.500
U 0.500 0.000 0.338
U 0.500 0.500 0.838
Te 0.000 0.000 0.244
Te 0.000 0.000 0.595
Te 0.000 0.000 0.876
Te 0.000 0.500 0.095
Te 0.000 0.500 0.376
Te 0.000 0.500 0.744
Te 0.500 0.000 0.095
Te 0.500 0.000 0.464
Te 0.500 0.000 0.744
Te 0.500 0.500 0.244
Te 0.500 0.500 0.595
Te 0.500 0.500 0.964

Entry 4:
TlCdBr3 after structural relaxation. Source: the Materials Project database, functional meta-GGA r2SCAN.

DFT formation energy   -1.04 eV per atom

a b c (Å): 9.484 4.166 15.498
angles (deg): 90.00 90.00 90.00
Fractional coordinates of all 20 atoms:
Tl 0.061 0.250 0.177
Tl 0.439 0.750 0.677
Tl 0.561 0.250 0.323
Tl 0.939 0.750 0.823
Cd 0.168 0.750 0.445
Cd 0.332 0.250 0.945
Cd 0.668 0.750 0.055
Cd 0.832 0.250 0.555
Br 0.022 0.750 0.604
Br 0.165 0.750 0.007
Br 0.212 0.250 0.787
Br 0.288 0.750 0.287
Br 0.335 0.250 0.507
Br 0.478 0.250 0.104
Br 0.522 0.750 0.896
Br 0.665 0.750 0.493
Br 0.712 0.250 0.713
Br 0.788 0.750 0.213
Br 0.835 0.250 0.993
Br 0.978 0.250 0.396

Entry 5:
GdZrF7 after structural relaxation. Source: the Materials Project database, functional meta-GGA r2SCAN.

DFT formation energy   -4.17 eV per atom

a b c (Å): 6.107 5.751 8.285
angles (deg): 90.00 102.25 90.00
Fractional coordinates of all 18 atoms:
Gd 0.156 0.000 0.187
Gd 0.844 0.500 0.813
Zr 0.311 0.991 0.725
Zr 0.689 0.491 0.275
F 0.046 0.204 0.712
F 0.048 0.311 0.025
F 0.121 0.700 0.716
F 0.256 0.000 0.477
F 0.363 0.992 0.973
F 0.431 0.271 0.271
F 0.459 0.748 0.260
F 0.541 0.248 0.740
F 0.569 0.771 0.729
F 0.637 0.492 0.027
F 0.744 0.500 0.523
F 0.879 0.200 0.284
F 0.952 0.811 0.975
F 0.954 0.704 0.288

Entry 6:
Cs2PaF7 after structural relaxation. Source: the Materials Project database, functional meta-GGA r2SCAN.

DFT formation energy   -3.75 eV per atom

a b c (Å): 8.092 8.092 8.265
angles (deg): 118.84 118.84 53.58
Fractional coordinates of all 20 atoms:
Cs 0.158 0.183 0.119
Cs 0.183 0.158 0.619
Cs 0.817 0.842 0.381
Cs 0.842 0.817 0.881
Pa 0.471 0.529 0.750
Pa 0.529 0.471 0.250
F 0.166 0.834 0.750
F 0.193 0.596 0.212
F 0.217 0.457 0.527
F 0.309 0.553 0.926
F 0.404 0.807 0.288
F 0.447 0.691 0.574
F 0.457 0.217 0.027
F 0.543 0.783 0.973
F 0.553 0.309 0.426
F 0.596 0.193 0.712
F 0.691 0.447 0.074
F 0.783 0.543 0.473
F 0.807 0.404 0.788
F 0.834 0.166 0.250